[1]
Here is an optimized crystal structure of KSnBr3 from the Materials Project. Energies are from meta-GGA r2SCAN.

Values from the calculation:
* size of the total moment: 0.00 μB/cell

Cell and atoms, written as extended XYZ:
```
20
Lattice="8.957 0.000 0.000 0.000 4.477 0.000 0.000 0.000 16.586" Properties=species:S:1:pos:R:3 pbc="T T T"
K 0.858 1.119 2.680
K 3.620 3.357 10.974
K 5.336 1.119 5.613
K 8.098 3.357 13.906
Sn 1.232 3.357 7.211
Sn 3.247 1.119 15.504
Sn 5.710 3.357 1.083
Sn 7.725 1.119 9.376
Br 0.236 3.357 10.701
Br 1.578 3.357 0.090
Br 1.668 1.119 13.343
Br 2.810 3.357 5.050
Br 2.900 1.119 8.383
Br 4.242 1.119 2.408
Br 4.714 3.357 14.179
Br 6.057 3.357 8.203
Br 6.146 1.119 11.536
Br 7.288 3.357 3.243
Br 7.378 1.119 16.497
Br 8.721 1.119 5.886
```

***

[2]
Here is an optimized crystal structure of K2TcBr6 from the Materials Project. Energies are from meta-GGA r2SCAN.

Values from the calculation:
* size of the total moment: 3.00 μB/cell

Cell and atoms, written as extended XYZ:
```
9
Lattice="0.000 5.213 5.213 5.213 0.000 5.213 5.213 5.213 0.000" Properties=species:S:1:pos:R:3 pbc="T T T"
K 2.607 2.607 2.607
K 7.820 7.820 7.820
Tc 0.000 0.000 0.000
Br 5.213 5.213 2.518
Br 5.213 2.518 5.213
Br 7.908 5.213 5.213
Br 2.518 5.213 5.213
Br 5.213 7.908 5.213
Br 5.213 5.213 7.908
```

***

| no. | final energy (eV per atom) |
| --- | --- |
| 1 | -15.4154 |
| 2 | -14.3412 |